No. 1
{
  "formula": "K2TeBr6",
  "functional": "PBE",
  "state": "optimized geometry",
  "energy_corrected_mp2020_ev_per_atom": -3.0850,
  "mass_density_g_cm3": 3.40,
  "lattice": [[-7.4097, 1.0383, -2.9425], [-2.5926, -5.6391, 4.5388], [-4.6594, 1.6277, 12.3078]],
  "species": ["K", "K", "K", "K", "Te", "Te", "Br", "Br", "Br", "Br", "Br", "Br", "Br", "Br", "Br", "Br", "Br", "Br"],
  "frac_coords": [[0.0722, 0.2669, 0.2490], [0.5722, 0.7331, 0.2510], [0.9278, 0.7331, 0.7510], [0.4278, 0.2669, 0.7490], [0.5000, 0.0000, 0.5000], [0.0000, 0.0000, 0.0000], [0.5144, 0.8338, 0.7463], [0.4856, 0.1662, 0.2537], [0.8115, 0.6648, 0.0436], [0.9856, 0.8338, 0.2463], [0.1885, 0.3352, 0.9564], [0.6885, 0.6648, 0.5436], [0.2865, 0.7747, 0.0387], [0.7865, 0.2253, 0.4613], [0.7135, 0.2253, 0.9613], [0.2135, 0.7747, 0.5387], [0.3115, 0.3352, 0.4564], [0.0144, 0.1662, 0.7537]]
}

No. 2
{
  "formula": "Ba3NaNbO6",
  "functional": "PBE",
  "state": "optimized geometry",
  "energy_corrected_mp2020_ev_per_atom": -7.2393,
  "magnetic_moment_mub_per_fu": 0.001,
  "mass_density_g_cm3": 5.46,
  "lattice": [[-0.1463, 5.9760, -4.0891], [-7.2194, -0.0744, 0.5734], [0.6826, 3.8835, 6.0751]],
  "species": ["Ba", "Ba", "Ba", "Ba", "Ba", "Ba", "Na", "Na", "Nb", "Nb", "O", "O", "O", "O", "O", "O", "O", "O", "O", "O", "O", "O"],
  "frac_coords": [[0.2500, 0.8977, 0.6023], [0.6023, 0.2500, 0.8977], [0.8977, 0.6023, 0.2500], [0.7500, 0.1023, 0.3977], [0.3977, 0.7500, 0.1023], [0.1023, 0.3977, 0.7500], [0.7500, 0.7500, 0.7500], [0.2500, 0.2500, 0.2500], [0.5000, 0.5000, 0.5000], [0.0000, 0.0000, 0.0000], [0.0507, 0.7321, 0.9227], [0.9227, 0.0507, 0.7321], [0.7321, 0.9227, 0.0507], [0.4493, 0.5773, 0.7679], [0.7679, 0.4493, 0.5773], [0.5773, 0.7679, 0.4493], [0.9493, 0.2679, 0.0773], [0.0773, 0.9493, 0.2679], [0.2679, 0.0773, 0.9493], [0.5507, 0.4227, 0.2321], [0.4227, 0.2321, 0.5507], [0.2321, 0.5507, 0.4227]]
}

No. 3
{
  "formula": "Mg3Ga",
  "functional": "PBE",
  "state": "optimized geometry",
  "energy_ev_per_atom": -1.99,
  "magnetic_moment_mub_per_fu": 0.005,
  "mass_density_g_cm3": 2.79,
  "lattice": [[0.0000, 3.4902, 3.4902], [3.4902, 0.0000, 3.4902], [3.4902, 3.4902, 0.0000]],
  "species": ["Mg", "Mg", "Mg", "Ga"],
  "frac_coords": [[0.0000, 0.0000, 0.0000], [0.2500, 0.2500, 0.2500], [0.7500, 0.7500, 0.7500], [0.5000, 0.5000, 0.5000]]
}

No. 4
{
  "formula": "NbAlVC",
  "functional": "PBE",
  "state": "optimized geometry",
  "energy_ev_per_atom": -8.51,
  "magnetic_moment_mub_per_fu": 0.001,
  "mass_density_g_cm3": 5.62,
  "lattice": [[2.3914, 0.9393, 1.6341], [-2.7454, -0.2077, 1.3003], [2.6165, -12.7342, 3.4909]],
  "species": ["Nb", "Nb", "Al", "Al", "V", "V", "C", "C"],
  "frac_coords": [[0.3333, 0.6667, 0.4050], [0.6667, 0.3333, 0.5950], [0.3333, 0.6667, 0.7637], [0.6667, 0.3333, 0.2363], [0.6667, 0.3333, 0.9217], [0.3333, 0.6667, 0.0783], [0.0000, 0.0000, 0.5000], [0.0000, 0.0000, 0.0000]]
}

No. 5
{
  "formula": "Tb16B4Br23",
  "functional": "PBE",
  "state": "optimized geometry",
  "energy_corrected_mp2020_ev_per_atom": -5.0127,
  "mass_density_g_cm3": 5.74,
  "lattice": [[-7.5406, 6.7562, 3.7632], [-6.1538, -4.7515, 7.4981], [5.1188, 3.9597, 10.2995]],
  "species": ["Tb", "Tb", "Tb", "Tb", "Tb", "Tb", "Tb", "Tb", "Tb", "Tb", "Tb", "Tb", "Tb", "Tb", "Tb", "Tb", "B", "B", "B", "B", "Br", "Br", "Br", "Br", "Br", "Br", "Br", "Br", "Br", "Br", "Br", "Br", "Br", "Br", "Br", "Br", "Br", "Br", "Br", "Br", "Br", "Br", "Br"],
  "frac_coords": [[0.1886, 0.1886, 0.2726], [0.8114, 0.8114, 0.7274], [0.1914, 0.8042, 0.8496], [0.1958, 0.8086, 0.1504], [0.8086, 0.1958, 0.1504], [0.8042, 0.1914, 0.8496], [0.5151, 0.8088, 0.6295], [0.1912, 0.4849, 0.3705], [0.4849, 0.1912, 0.3705], [0.8088, 0.5151, 0.6295], [0.2027, 0.5010, 0.0628], [0.4990, 0.7973, 0.9372], [0.7973, 0.4990, 0.9372], [0.5010, 0.2027, 0.0628], [0.4940, 0.4940, 0.1495], [0.5060, 0.5060, 0.8505], [0.3334, 0.3334, 0.2271], [0.6666, 0.6666, 0.7729], [0.3308, 0.6692, 0.0000], [0.6692, 0.3308, 0.0000], [0.0000, 0.0000, 0.0000], [0.0144, 0.0144, 0.3072], [0.9856, 0.9856, 0.6928], [0.6668, 0.6668, 0.1128], [0.3332, 0.3332, 0.8872], [0.6594, 0.9981, 0.5585], [0.0019, 0.3406, 0.4415], [0.3406, 0.0019, 0.4415], [0.9981, 0.6594, 0.5585], [0.6621, 0.3318, 0.6650], [0.6682, 0.3379, 0.3350], [0.3379, 0.6682, 0.3350], [0.6592, 0.9972, 0.8944], [0.0028, 0.3408, 0.1056], [0.3408, 0.0028, 0.1056], [0.9972, 0.6592, 0.8944], [0.6725, 0.0023, 0.2235], [0.9977, 0.3275, 0.7765], [0.3275, 0.9977, 0.7765], [0.0023, 0.6725, 0.2235], [0.6648, 0.6648, 0.4500], [0.3352, 0.3352, 0.5500], [0.3318, 0.6621, 0.6650]]
}

No. 6
{
  "formula": "TbMg2Cu",
  "functional": "PBE",
  "state": "optimized geometry",
  "energy_ev_per_atom": -2.93,
  "magnetic_moment_mub_per_fu": 0.000,
  "mass_density_g_cm3": 5.33,
  "lattice": [[0.0000, 3.4820, 3.4820], [3.4820, 0.0000, 3.4820], [3.4820, 3.4820, 0.0000]],
  "species": ["Tb", "Mg", "Mg", "Cu"],
  "frac_coords": [[0.0000, 0.0000, 0.0000], [0.2500, 0.2500, 0.2500], [0.7500, 0.7500, 0.7500], [0.5000, 0.5000, 0.5000]]
}

No. 7
{
  "formula": "TiCrAgS4",
  "functional": "PBE",
  "state": "optimized geometry",
  "energy_corrected_mp2020_ev_per_atom": -6.2480,
  "relative_energy_mev_per_atom": 134,
  "magnetic_moment_mub_per_fu": 0.064,
  "mass_density_g_cm3": 4.17,
  "lattice": [[-2.7282, -0.4339, -2.1037], [-3.3420, -1.5956, 4.6631], [-3.5876, 12.2620, 2.1235]],
  "species": ["Ti", "Ti", "Cr", "Cr", "Ag", "Ag", "S", "S", "S", "S", "S", "S", "S", "S"],
  "frac_coords": [[0.2500, 0.2472, 0.5025], [0.7500, 0.7528, 0.4975], [0.2500, 0.2668, 0.9928], [0.7500, 0.7332, 0.0072], [0.7500, 0.7680, 0.7588], [0.2500, 0.2320, 0.2412], [0.7500, 0.4243, 0.8917], [0.7500, 0.0787, 0.6117], [0.2500, 0.9213, 0.3883], [0.2500, 0.5757, 0.1083], [0.2500, 0.9188, 0.9044], [0.2500, 0.5771, 0.6095], [0.7500, 0.4229, 0.3905], [0.7500, 0.0812, 0.0956]]
}

No. 8
{
  "formula": "Dy",
  "functional": "PBE",
  "state": "optimized geometry",
  "relative_energy_mev_per_atom": 17,
  "mass_density_g_cm3": 8.44,
  "lattice": [[-1.8134, -3.1408, 0.0000], [-1.8134, 3.1408, 0.0000], [0.0000, 0.0000, -5.6164]],
  "species": ["Dy", "Dy"],
  "frac_coords": [[0.3333, 0.6667, 0.7500], [0.6667, 0.3333, 0.2500]]
}

No. 9
{
  "formula": "MgMo3",
  "functional": "PBE",
  "state": "optimized geometry",
  "energy_ev_per_atom": -8.17,
  "magnetic_moment_mub_per_fu": 0.001,
  "mass_density_g_cm3": 7.99,
  "lattice": [[0.0000, 3.1885, 3.1885], [3.1885, 0.0000, 3.1885], [3.1885, 3.1885, 0.0000]],
  "species": ["Mg", "Mo", "Mo", "Mo"],
  "frac_coords": [[0.0000, 0.0000, 0.0000], [0.2500, 0.2500, 0.2500], [0.5000, 0.5000, 0.5000], [0.7500, 0.7500, 0.7500]]
}